[1]
Crystalline KCo at its relaxed geometry, computed with PBE.

Properties
* distance to the lowest polymorph of the same formula: 6.3 meV/atom
* energy of formation: 79 kJ/mol of atoms
* spin magnetization: 6.84 μB/cell
* raw total energy: -3.29 eV/atom

```
8
Lattice="5.719 0.000 0.000 0.000 3.700 0.000 0.000 0.000 10.949" Properties=species:S:1:pos:R:3 pbc="T T T"
K 0.035 0.925 1.666
K 2.824 2.775 7.141
K 2.895 0.925 3.808
K 5.684 2.775 9.283
Co 0.006 2.775 4.875
Co 2.853 0.925 10.350
Co 2.866 2.775 0.599
Co 5.713 0.925 6.074
```

[2]
Crystalline KCo at its relaxed geometry, computed with PBE.

Properties
* distance to the lowest polymorph of the same formula: 0.0 meV/atom
* energy of formation: 78 kJ/mol of atoms
* spin magnetization: 3.52 μB/cell
* raw total energy: -3.30 eV/atom

```
4
Lattice="-1.850 2.860 5.475 1.850 -2.860 5.475 1.850 2.860 -5.475" Properties=species:S:1:pos:R:3 pbc="T T T"
K 0.000 1.430 1.071
K 1.850 1.430 4.404
Co 1.850 1.430 -2.138
Co 0.000 1.430 7.613
```

[3]
Crystalline KCo at its relaxed geometry, computed with PBE.

Properties
* distance to the lowest polymorph of the same formula: 9.8 meV/atom
* energy of formation: 79 kJ/mol of atoms
* spin magnetization: 6.84 μB/cell
* raw total energy: -3.29 eV/atom

```
8
Lattice="5.856 0.000 0.000 0.000 3.521 0.000 0.000 0.000 11.176" Properties=species:S:1:pos:R:3 pbc="T T T"
K 0.365 0.880 1.720
K 2.563 2.641 7.308
K 3.293 0.880 3.868
K 5.491 2.641 9.456
Co 0.234 2.641 4.987
Co 2.694 0.880 10.575
Co 3.162 2.641 0.600
Co 5.622 0.880 6.188
```

[4]
Crystalline KMg14Co at its relaxed geometry, computed with PBE.

Properties
* energy of formation: 18 kJ/mol of atoms
* spin magnetization: 0.07 μB/cell
* raw total energy: -1.73 eV/atom

```
16
Lattice="6.333 0.000 0.000 -3.167 5.485 0.000 0.000 0.000 10.487" Properties=species:S:1:pos:R:3 pbc="T T T"
K 0.000 0.000 0.000
Mg -1.549 2.763 0.000
Mg 0.000 1.783 2.928
Mg 0.000 1.783 7.559
Mg -1.622 4.593 2.928
Mg -1.622 4.593 7.559
Mg 1.549 2.763 0.000
Mg 0.000 5.445 0.000
Mg 3.167 0.055 5.243
Mg 1.631 2.715 5.243
Mg 3.167 1.828 2.528
Mg 3.167 1.828 7.959
Mg 1.622 4.593 2.928
Mg 1.622 4.593 7.559
Mg 4.703 2.715 5.243
Co 0.000 0.000 5.243
```

[5]
Crystalline KMg14Co at its relaxed geometry, computed with PBE.

Properties
* energy of formation: 18 kJ/mol of atoms
* spin magnetization: 0.00 μB/cell
* raw total energy: -1.72 eV/atom

```
16
Lattice="10.603 0.000 0.000 0.000 3.246 5.476 0.000 -3.246 5.476" Properties=species:S:1:pos:R:3 pbc="T T T"
K 0.000 0.000 0.000
Mg 0.000 -1.579 2.750
Mg 0.000 1.579 2.750
Mg 2.436 0.000 7.217
Mg 2.624 -1.537 4.556
Mg 2.624 1.537 4.556
Mg 2.800 0.000 1.843
Mg 5.302 0.000 5.459
Mg 5.302 -1.593 8.191
Mg 5.302 1.593 8.191
Mg 5.302 0.000 10.900
Mg 7.803 0.000 1.843
Mg 7.980 -1.537 4.556
Mg 7.980 1.537 4.556
Mg 8.168 0.000 7.217
Co 0.000 0.000 5.359
```

[6]
Crystalline KCo2P2 at its relaxed geometry, computed with PBE.

Properties
* energy of formation: -57 kJ/mol of atoms
* raw total energy: -5.82 eV/atom

```
5
Lattice="-1.840 1.840 6.662 1.840 -1.840 6.662 1.840 1.840 -6.662" Properties=species:S:1:pos:R:3 pbc="T T T"
K 0.000 0.000 0.000
Co 1.840 0.000 3.331
Co 0.000 1.840 3.331
P 0.000 0.000 4.532
P 0.000 0.000 8.793
```

[7]
Crystalline K2CoS2 at its relaxed geometry, computed with PBE.

Properties
* energy of formation: -94 kJ/mol of atoms
* spin magnetization: 6.00 μB/cell
* raw total energy: -4.30 eV/atom

```
10
Lattice="-3.408 6.351 2.970 3.408 -6.351 2.970 3.408 6.351 -2.970" Properties=species:S:1:pos:R:3 pbc="T T T"
K 1.137 1.858 0.000
K 1.137 -1.858 2.970
K 2.272 8.209 0.000
K 2.272 4.493 2.970
Co 3.408 0.000 1.485
Co 0.000 6.351 1.485
S 4.645 1.257 0.000
S 1.236 5.095 0.000
S 2.172 1.257 2.970
S -1.236 5.095 2.970
```

[8]
Crystalline K6CoS4 at its relaxed geometry, computed with PBE.

Properties
* energy of formation: -107 kJ/mol of atoms
* spin magnetization: 5.99 μB/cell
* maximum piezoelectric response: 0.375 C/m²
* raw total energy: -3.68 eV/atom

```
22
Lattice="9.808 0.000 0.000 -4.904 8.494 0.000 0.000 0.000 7.717" Properties=species:S:1:pos:R:3 pbc="T T T"
K -2.020 4.496 0.000
K 0.000 2.491 5.217
K -2.747 7.249 5.217
K 2.157 1.245 1.358
K 2.020 4.496 0.000
K 0.000 7.996 0.000
K 4.904 0.499 3.859
K 2.884 3.998 3.859
K 2.747 7.249 5.217
K 7.651 1.245 1.358
K 4.904 6.003 1.358
K 6.925 3.998 3.859
Co 0.000 5.663 2.981
Co 4.904 2.831 6.840
S 0.000 3.404 2.236
S -1.956 6.792 2.236
S 0.000 5.663 5.349
S 2.948 1.702 6.094
S 1.956 6.792 2.236
S 4.904 2.831 1.491
S 6.860 1.702 6.094
S 4.904 5.090 6.094
```

[9]
Crystalline KCo2S2 at its relaxed geometry, computed with PBE.

Properties
* energy of formation: -80 kJ/mol of atoms
* raw total energy: -5.35 eV/atom

```
5
Lattice="-1.872 1.872 6.360 1.872 -1.872 6.360 1.872 1.872 -6.360" Properties=species:S:1:pos:R:3 pbc="T T T"
K 0.000 0.000 0.000
Co 1.872 0.000 3.180
Co 0.000 1.872 3.180
S 0.000 0.000 4.379
S 0.000 0.000 8.342
```

[10]
Crystalline KSc2Co at its relaxed geometry, computed with PBE.

Properties
* energy of formation: 91 kJ/mol of atoms
* spin magnetization: 0.07 μB/cell
* raw total energy: -4.27 eV/atom

```
4
Lattice="0.000 3.573 3.573 3.573 0.000 3.573 3.573 3.573 0.000" Properties=species:S:1:pos:R:3 pbc="T T T"
K 0.000 0.000 0.000
Sc 3.573 3.573 3.573
Sc 5.359 5.359 5.359
Co 1.786 1.786 1.786
```

[11]
Crystalline K6CoSe4 at its relaxed geometry, computed with PBE.

Properties
* energy of formation: -106 kJ/mol of atoms
* spin magnetization: 6.00 μB/cell
* maximum piezoelectric response: 0.377 C/m²
* raw total energy: -3.45 eV/atom

```
22
Lattice="10.217 0.000 0.000 -5.109 8.848 0.000 0.000 0.000 8.016" Properties=species:S:1:pos:R:3 pbc="T T T"
K -2.123 4.673 0.000
K 0.000 2.596 5.427
K -2.861 7.550 5.427
K 2.248 1.298 1.419
K 2.123 4.673 0.000
K 0.000 8.350 0.000
K 5.109 0.498 4.008
K 2.986 4.175 4.008
K 2.861 7.550 5.427
K 7.969 1.298 1.419
K 5.109 6.252 1.419
K 7.231 4.175 4.008
Co 0.000 5.899 3.096
Co 5.109 2.949 7.104
Se 0.000 3.520 2.312
Se -2.060 7.088 2.312
Se 0.000 5.899 5.587
Se 3.049 1.760 6.320
Se 2.060 7.088 2.312
Se 5.109 2.949 1.579
Se 7.168 1.760 6.320
Se 5.109 5.328 6.320
```

[12]
Crystalline KCo2Se2 at its relaxed geometry, computed with PBE.

Properties
* energy of formation: -64 kJ/mol of atoms
* spin magnetization: 2.22 μB/cell
* raw total energy: -4.94 eV/atom

```
5
Lattice="-1.949 1.949 6.670 1.949 -1.949 6.670 1.949 1.949 -6.670" Properties=species:S:1:pos:R:3 pbc="T T T"
K 0.000 0.000 0.000
Co 1.949 0.000 3.335
Co 0.000 1.949 3.335
Se 0.000 0.000 4.657
Se 0.000 0.000 8.684
```

Copy entry 2 word for word.
Crystalline KCo at its relaxed geometry, computed with PBE.

Properties
* distance to the lowest polymorph of the same formula: 0.0 meV/atom
* energy of formation: 78 kJ/mol of atoms
* spin magnetization: 3.52 μB/cell
* raw total energy: -3.30 eV/atom

```
4
Lattice="-1.850 2.860 5.475 1.850 -2.860 5.475 1.850 2.860 -5.475" Properties=species:S:1:pos:R:3 pbc="T T T"
K 0.000 1.430 1.071
K 1.850 1.430 4.404
Co 1.850 1.430 -2.138
Co 0.000 1.430 7.613
```

What did the second record say?
Crystalline KCo at its relaxed geometry, computed with PBE.

Properties
* distance to the lowest polymorph of the same formula: 0.0 meV/atom
* energy of formation: 78 kJ/mol of atoms
* spin magnetization: 3.52 μB/cell
* raw total energy: -3.30 eV/atom

```
4
Lattice="-1.850 2.860 5.475 1.850 -2.860 5.475 1.850 2.860 -5.475" Properties=species:S:1:pos:R:3 pbc="T T T"
K 0.000 1.430 1.071
K 1.850 1.430 4.404
Co 1.850 1.430 -2.138
Co 0.000 1.430 7.613
```